NaHo2F7, relaxed, DFT GGA-PBE; space group = P1; size of the total moment = 0.00 μB per atom; DFT total energy = -6.17 eV/atom
1.0
-3.5844 2.0834 0.9010
-4.1571 -1.5716 2.8797
-5.3426 4.2292 11.6431
F Ho Na
7 2 1
Direct
0.8153 0.6176 0.2492
0.2677 0.1651 0.1052
0.0724 0.4618 0.4854
0.2838 0.3389 0.7251
0.7809 0.7295 0.8846
0.4379 0.0045 0.3968
0.6289 0.8985 0.5968
0.9583 0.9386 0.6581
0.0966 0.0109 0.3220
0.0802 0.0845 0.9936

=====

La3HfGa5O14, relaxed, DFT GGA-PBE; space group = P321; size of the total moment = 0.00 μB per atom; DFT total energy = -7.40 eV/atom
1.0
4.1766 -7.2340 0.0000
4.1766 7.2340 0.0000
0.0000 0.0000 5.2043
O Ga La Hf
14 5 3 1
Direct
0.5424 0.6889 0.6984
0.4576 0.1465 0.3016
0.1474 0.2268 0.2425
0.2268 0.1474 0.7575
0.8535 0.3111 0.3016
0.6667 0.3333 0.8198
0.0794 0.8526 0.2425
0.6889 0.5424 0.3016
0.3333 0.6667 0.1802
0.8526 0.0794 0.7575
0.7732 0.9206 0.2425
0.1465 0.4576 0.6984
0.3111 0.8535 0.6984
0.9206 0.7732 0.7575
0.2441 0.0000 0.5000
0.7559 0.7559 0.5000
0.3333 0.6667 0.5297
0.0000 0.2441 0.5000
0.6667 0.3333 0.4703
0.5740 0.0000 0.0000
0.0000 0.5740 0.0000
0.4260 0.4260 0.0000
0.0000 0.0000 0.0000

=====

Copy entry 2 word for word.
La3HfGa5O14, relaxed, DFT GGA-PBE; space group = P321; size of the total moment = 0.00 μB per atom; DFT total energy = -7.40 eV/atom
1.0
4.1766 -7.2340 0.0000
4.1766 7.2340 0.0000
0.0000 0.0000 5.2043
O Ga La Hf
14 5 3 1
Direct
0.5424 0.6889 0.6984
0.4576 0.1465 0.3016
0.1474 0.2268 0.2425
0.2268 0.1474 0.7575
0.8535 0.3111 0.3016
0.6667 0.3333 0.8198
0.0794 0.8526 0.2425
0.6889 0.5424 0.3016
0.3333 0.6667 0.1802
0.8526 0.0794 0.7575
0.7732 0.9206 0.2425
0.1465 0.4576 0.6984
0.3111 0.8535 0.6984
0.9206 0.7732 0.7575
0.2441 0.0000 0.5000
0.7559 0.7559 0.5000
0.3333 0.6667 0.5297
0.0000 0.2441 0.5000
0.6667 0.3333 0.4703
0.5740 0.0000 0.0000
0.0000 0.5740 0.0000
0.4260 0.4260 0.0000
0.0000 0.0000 0.0000

=====

size of the total moment of number 1 (NaHo2F7)?
0.00 μB per atom